# 1
## K2TaAgS2 (PBE)

Data for K2TaAgS2 after structural relaxation.

```
24
Lattice="-2.9786 7.9685 4.2285 -4.9256 3.5849 0.4463 -8.2740 -7.4175 18.8212" Properties=species:S:1:pos:R:3 pbc="T T T"
K -7.8196 2.6455 15.1019
K -11.2676 3.0889 14.0042
K -3.7237 -2.1283 7.8068
K -12.2668 1.9656 20.7530
K -9.5456 4.6657 10.0791
K -10.7658 -2.8614 18.0683
K -5.1101 6.1884 4.9984
K -4.2138 2.9793 3.1723
Ta -5.9062 6.0143 8.5168
Ta -8.3690 7.8068 8.7399
Ta -10.0432 2.3056 17.9274
Ta -11.0167 0.1138 16.0363
Ag -4.4169 2.0301 6.4026
Ag -6.8797 3.8225 6.6257
Ag -8.5539 -1.6787 15.8131
Ag -12.5060 4.0980 18.1505
S -2.6568 0.4451 3.9611
S -7.6065 7.1439 6.5227
S -9.6883 -0.0210 18.5583
S -6.1770 3.6150 8.8440
S -12.4049 0.7039 17.9498
S -6.1529 0.5011 6.7286
S -7.4195 -3.3364 13.0680
S -9.6285 -0.4763 14.1228
```

***

# 2
## K2TaAgS4 (PBE)

Data for K2TaAgS4 after structural relaxation.

```
16
Lattice="-2.6830 8.9589 9.5783 -7.8815 3.9188 8.0574 4.8496 0.6253 5.5526" Properties=species:S:1:pos:R:3 pbc="T T T"
K -6.3505 10.6981 16.6750
K 0.6181 2.8947 6.4930
K -0.8353 6.2230 12.3397
K -4.8924 7.3039 10.8486
Ta -2.1479 5.0399 8.7393
Ta -3.5831 8.3990 14.5200
Ag -4.9627 11.8477 20.2916
Ag -0.6849 1.6716 2.9355
S -4.1318 4.2724 9.4836
S -0.2809 3.9614 9.6039
S -2.1784 4.7164 6.3762
S -1.9644 7.3150 9.2867
S -1.5807 9.2777 13.6186
S -3.7580 6.2136 13.9779
S -3.5457 8.7474 16.7770
S -5.4356 9.4668 13.6072
```

***

# 3
## K2VAgS4 (PBE)

Data for K2VAgS4 after structural relaxation.

```
16
Lattice="0.0000 6.6240 11.3603 2.9148 0.0000 11.3603 2.9148 6.6240 0.0000" Properties=species:S:1:pos:R:3 pbc="T T T"
K 3.6286 8.2959 10.1527
K 2.1854 4.9981 12.6529
K 3.5981 8.2978 18.2820
K 2.1798 4.9300 4.3957
V 2.2137 4.9288 8.5342
V 3.6835 8.3036 14.2190
Ag 5.0658 11.6215 19.8605
Ag 0.7606 1.6918 2.8258
S 3.3397 3.6559 9.8482
S 0.9993 3.6654 7.1864
S 3.3221 6.2697 7.2159
S 1.0352 6.3084 9.7744
S 2.4918 9.5944 12.8736
S 2.4990 6.9310 15.4948
S 4.8658 9.5846 15.5112
S 4.8225 6.9149 12.9093
```

***

# 4
## K2VAgS4 (PBE)

Data for K2VAgS4 after structural relaxation.

```
16
Lattice="3.0880 3.5798 12.2713 2.6883 8.7988 7.2737 -4.4819 -2.0469 5.3006" Properties=species:S:1:pos:R:3 pbc="T T T"
K -1.5242 -0.0156 3.6455
K -2.6340 0.5516 7.8665
K 2.1715 5.1815 8.7773
K 3.9285 9.7801 16.9790
V 0.0000 0.0000 0.0000
V 0.3236 2.5829 6.2114
Ag 0.6472 5.1659 12.4228
Ag 0.9708 7.7488 18.6342
S 3.0855 5.7599 12.1163
S -0.9804 6.0146 10.6843
S 1.1137 2.6843 12.5489
S -0.6299 6.2046 14.3416
S 3.0145 9.2016 13.6400
S -2.1840 1.4316 11.2343
S -0.4896 3.3202 8.1014
S 2.2480 6.7100 16.7153
```

***

# 5
## K2AgSb (PBE)

Data for K2AgSb after structural relaxation.

```
8
Lattice="-0.8026 4.6023 4.8846 -3.4521 -5.3395 2.2930 5.2433 -2.1500 2.8873" Properties=species:S:1:pos:R:3 pbc="T T T"
K 0.3025 -5.3473 5.9765
K 0.6861 2.4600 4.0885
K 2.0380 1.1650 7.6741
K -1.0495 -4.0522 2.3909
Ag -2.1274 -0.3686 3.5888
Ag 0.4943 -1.4436 5.0325
Sb 0.6776 -2.1765 7.6564
Sb 0.3110 -0.7107 2.4086
```

***

# 6
## KAg3Se2 (PBE)

Data for KAg3Se2 after structural relaxation.

```
12
Lattice="2.2154 8.3786 0.0000 -2.2154 8.3786 0.0000 0.0000 3.8571 8.1015" Properties=species:S:1:pos:R:3 pbc="T T T"
K 0.0000 14.6742 0.4156
K 0.0000 5.9400 7.6859
Ag 0.0000 17.3596 3.2433
Ag 0.0000 3.2546 4.8582
Ag 0.0000 6.9190 3.5033
Ag 0.0000 13.6952 4.5982
Ag 0.0000 9.3059 5.2430
Ag 0.0000 11.3083 2.8585
Se 0.0000 11.6644 6.4109
Se 0.0000 8.9499 1.6906
Se 0.0000 16.0888 5.7053
Se 0.0000 4.5255 2.3962
```

***

# 7
## K4Ag18Te11 (PBE)

Data for K4Ag18Te11 after structural relaxation.

```
66
Lattice="2.6458 -11.6140 6.2431 2.9742 -0.0586 13.1153 -8.7795 -5.0219 8.8635" Properties=species:S:1:pos:R:3 pbc="T T T"
K 0.0000 0.0000 0.0000
K 2.2696 -10.1251 16.9166
K 0.8550 -3.9157 13.5786
K 0.6795 -10.0938 9.9044
K -5.4292 -6.5693 11.3054
K -4.0145 -12.7788 14.6433
K -3.8390 -6.6006 18.3176
K -1.5798 -8.3472 14.1110
Ag -1.5628 -1.9744 11.4741
Ag -3.3889 -1.9384 3.4213
Ag -1.7644 -9.0694 7.2546
Ag -4.2426 -3.1060 10.5047
Ag 2.7726 -7.1536 8.8958
Ag 1.1480 -0.0226 5.0625
Ag 1.0213 -4.4830 2.4098
Ag 2.8474 -4.5190 10.4626
Ag -4.3693 -7.5664 7.8520
Ag 1.6245 -7.1310 3.8333
Ag -5.3906 -3.0834 5.4422
Ag 1.8261 -0.0360 8.0528
Ag -0.4173 -11.2837 18.9930
Ag 0.2489 -14.2082 20.5651
Ag 0.3316 -11.2985 22.2956
Ag -2.3305 -15.2975 19.6320
Ag -2.9968 -12.3729 18.0599
Ag -5.2076 -13.6375 20.2919
Ag -2.1758 -9.8518 22.8707
Ag -5.1355 -11.1016 21.8000
Ag -2.9247 -9.8370 19.5681
Ag -4.5549 -13.6504 23.1701
Ag -1.5951 -12.4006 24.2408
Ag -1.6778 -15.3103 22.5103
Ag -2.7422 -5.4107 9.2289
Ag -3.4084 -2.4862 7.6568
Ag -3.4911 -5.3960 5.9263
Ag -0.8290 -1.3970 8.5899
Ag -0.1627 -4.3215 10.1620
Ag 2.0481 -3.0569 7.9301
Ag -0.9837 -6.8427 5.3513
Ag 1.9760 -5.5929 6.4219
Ag -0.2348 -6.8574 8.6539
Ag 1.3954 -3.0441 5.0518
Ag -1.5644 -4.2939 3.9812
Ag -1.4817 -1.3841 5.7117
Te 2.1155 -12.0446 20.1515
Te -4.4826 -14.8308 17.7647
Te -4.2983 -8.3441 21.6225
Te -2.8130 -14.8637 25.1272
Te -5.2750 -4.6498 8.0704
Te 1.3231 -1.8636 10.4572
Te 1.1388 -8.3503 6.5994
Te -0.3465 -1.8307 3.0948
Te -0.7449 -12.0116 16.0808
Te -1.4762 -4.7013 16.2793
Te -2.5182 -8.3287 9.9728
Te -2.4146 -4.6828 12.1412
Te -0.6413 -8.3657 18.2491
Te -1.6834 -11.9931 11.9427
Te -4.3499 -9.9317 16.9076
Te 2.0252 -10.4271 13.2842
Te -5.1847 -6.2673 14.9378
Te 1.1903 -6.7627 11.3144
Te -5.2883 -9.9132 12.7694
Te 2.1288 -6.7812 15.4525
Te -2.3696 -12.5208 21.1665
Te -0.7899 -4.1736 7.0555
```

***

# 8
## LaAg3 (PBE)

Data for LaAg3 after structural relaxation.

```
4
Lattice="4.5470 -0.4145 -2.2704 3.3724 -3.4472 1.6571 1.0657 -4.0960 -2.8441" Properties=species:S:1:pos:R:3 pbc="T T T"
La 0.0000 0.0000 0.0000
Ag 2.2463 -1.9894 -0.8644
Ag 6.7388 -5.9682 -2.5931
Ag 4.4926 -3.9788 -1.7287
```

***

# 9
## LaMgAg2 (PBE)

Data for LaMgAg2 after structural relaxation.

```
4
Lattice="0.0000 3.6370 3.6370 3.6370 0.0000 3.6370 3.6370 3.6370 0.0000" Properties=species:S:1:pos:R:3 pbc="T T T"
La 3.6370 3.6370 3.6370
Mg 0.0000 0.0000 0.0000
Ag 5.4554 5.4554 5.4554
Ag 1.8185 1.8185 1.8185
```

***

# 10
## La2Mg3Ag9 (PBE)

Data for La2Mg3Ag9 after structural relaxation.

```
14
Lattice="3.5546 3.5939 2.9717 -5.7704 0.9293 -0.4698 -1.5730 -5.4710 8.4982" Properties=species:S:1:pos:R:3 pbc="T T T"
La -4.0685 -3.6506 6.1574
La 1.3875 0.4412 3.5917
Mg -0.7865 -2.7355 4.2491
Mg 0.0000 0.0000 0.0000
Mg -1.8944 -0.4739 5.5000
Ag -2.9723 0.1617 0.2357
Ag 0.9038 -1.2410 6.2048
Ag 0.2914 -3.3710 9.5133
Ag -3.5848 -1.9684 3.5443
Ag -1.4727 -0.3947 2.5643
Ag -3.3657 -0.8529 8.0484
Ag -1.2063 -2.8186 7.1826
Ag -1.5330 2.1708 4.2048
Ag -1.1079 2.2616 1.2509
```

***

# 11
## La4Mg3Ag10 (PBE)

Data for La4Mg3Ag10 after structural relaxation.

```
34
Lattice="-2.9939 -4.7297 -6.9037 1.7938 -5.6047 6.6607 -9.8193 1.0572 3.5340" Properties=species:S:1:pos:R:3 pbc="T T T"
La -1.5739 -4.9892 -2.8805
La 0.3738 -5.3452 2.6374
La -6.9298 -4.3791 -2.3778
La -4.0896 -4.8982 5.6688
La -2.3566 -2.9185 0.6435
La -8.6628 -6.3588 2.6474
La -7.1387 -1.2911 2.4364
La -3.8807 -7.9862 0.8546
Mg -1.5807 -2.7346 4.2092
Mg -9.4387 -6.5427 -0.9182
Mg -7.0448 -6.9802 5.8640
Mg -3.9746 -2.2971 -2.5730
Mg 0.0000 0.0000 0.0000
Mg -5.5097 -4.6386 1.6455
Ag -4.0907 -0.5634 1.4075
Ag -6.9287 -8.7139 1.8835
Ag -9.3702 -3.2192 3.0997
Ag -1.6492 -6.0580 0.1913
Ag -4.3897 -4.9980 -4.3231
Ag -6.6297 -4.2792 7.6141
Ag -8.1375 -3.9371 0.5130
Ag -4.1986 -5.0995 -0.9523
Ag -2.8819 -5.3401 2.7780
Ag -6.8208 -4.1778 4.2433
Ag -10.1007 -3.6449 -2.2200
Ag -0.9187 -5.6324 5.5110
Ag -1.8746 -8.0767 -1.9344
Ag -9.1448 -1.2006 5.2253
Ag -5.3765 -6.8381 3.5316
Ag -4.3451 -2.6763 3.4361
Ag -5.6429 -2.4392 -0.2406
Ag -6.6743 -6.6009 -0.1451
Ag -10.4425 -0.9634 1.5487
Ag -0.5769 -8.3138 1.7423
```

***

# 12
## LaMg2Ag (PBE)

Data for LaMg2Ag after structural relaxation.

```
4
Lattice="0.0000 3.6397 3.6397 3.6397 0.0000 3.6397 3.6397 3.6397 0.0000" Properties=species:S:1:pos:R:3 pbc="T T T"
La 0.0000 0.0000 0.0000
Mg 1.8199 1.8199 1.8199
Mg 5.4596 5.4596 5.4596
Ag 3.6397 3.6397 3.6397
```

***

Let's list V in order: 778.4, 468.0, 438.7, 438.7, 282.6, 300.8, 1719.9, 93.8, 96.2, 296.0, 786.6, 96.4 Å³/cell.
Let's list electronic total energy in order: -105.97, -83.25, -76.35, -76.48, -21.64, -38.21, -199.53, -14.21, -13.37, -44.08, -116.19, -11.44 eV for the cell shown.